[1]
SnN2F2: relaxed, PBE.

The calculation puts the total magnetization at 0.0 μB/f.u. For the calculated volume, the calculation gives 16.39 Å³/atom. The calculation puts the formation energy at -1.09 eV per atom.

a = 8.7941 Å, b = 5.2940 Å, c = 3.7374 Å
α = 90.00°, β = 109.59°, γ = 90.00°
Space group C2/m (No. 12)
Asymmetric unit:
Sn (0.0000, 0.0000, 0.0000) [2 per cell]
N (0.0380, 0.5000, 0.9061) [4 per cell]
F (0.1724, 0.0000, 0.6365) [4 per cell]


[2]
Zr2SN2: relaxed, PBE.

For the calculated volume, the calculation gives 14.88 Å³/atom. The calculation puts the formation energy at -1.89 eV per atom.

a = 3.6470 Å, b = 3.6470 Å, c = 12.9216 Å
α = 90.00°, β = 90.00°, γ = 120.00°
Space group P6_3/mmc (No. 194)
Asymmetric unit:
Zr (0.3333, 0.6667, 0.1025) [4 per cell]
S (0.0000, 0.0000, 0.2500) [2 per cell]
N (0.3333, 0.6667, 0.5682) [4 per cell]


[3]
CsYB4H16: relaxed, PBE.

The calculation puts the total magnetization at 0.0 μB/f.u. For the calculated volume, the calculation gives 12.62 Å³/atom. The calculation puts the formation energy at -0.45 eV per atom.

a = 7.6692 Å, b = 7.6692 Å, c = 18.8848 Å
α = 90.00°, β = 90.00°, γ = 90.00°
Space group I4_1/a (No. 88, origin choice 2)
Asymmetric unit:
Cs (0.0000, 0.2500, 0.1250) [4 per cell]
Y (0.0000, 0.2500, 0.6250) [4 per cell]
B (0.1155, 0.4991, 0.6965) [16 per cell]
H (0.0043, 0.0772, 0.7279) [16 per cell]
H (0.0574, 0.0497, 0.3611) [16 per cell]
H (0.1306, 0.4217, 0.9803) [16 per cell]
H (0.1405, 0.0191, 0.5654) [16 per cell]


[4]
Nd8Re11O38: relaxed, PBE.

The calculation puts the total magnetization at 0.0 μB/f.u. For the calculated volume, the calculation gives 12.78 Å³/atom. The calculation puts the formation energy at -2.62 eV per atom.

a = 8.9783 Å, b = 9.0266 Å, c = 17.9758 Å
α = 89.94°, β = 89.92°, γ = 89.97°
Space group P1 (No. 1)
Asymmetric unit:
Nd (0.0000, 0.0000, 0.0000) [1 per cell]
Nd (0.0003, 0.3042, 0.8490) [1 per cell]
Nd (0.0061, 0.3087, 0.3471) [1 per cell]
Nd (0.3151, 0.3084, 0.5018) [1 per cell]
Nd (0.3211, 0.3176, 0.0014) [1 per cell]
Nd (0.3215, 0.9866, 0.8472) [1 per cell]
Nd (0.3453, 0.9923, 0.3522) [1 per cell]
Nd (0.5006, 0.8003, 0.0810) [1 per cell]
Nd (0.5021, 0.5061, 0.7672) [1 per cell]
Nd (0.5064, 0.8137, 0.5929) [1 per cell]
Nd (0.5083, 0.4955, 0.2498) [1 per cell]
Nd (0.8091, 0.4952, 0.5994) [1 per cell]
Nd (0.8117, 0.8137, 0.2558) [1 per cell]
Nd (0.8170, 0.4964, 0.0962) [1 per cell]
Nd (0.8185, 0.8083, 0.7535) [1 per cell]
Nd (0.9749, 0.9918, 0.4968) [1 per cell]
Re (0.0273, 0.1516, 0.6739) [1 per cell]
Re (0.0271, 0.1538, 0.1745) [1 per cell]
Re (0.1580, 0.6533, 0.3572) [1 per cell]
Re (0.1598, 0.5205, 0.1735) [1 per cell]
Re (0.1608, 0.7850, 0.6747) [1 per cell]
Re (0.1609, 0.7879, 0.1751) [1 per cell]
Re (0.1620, 0.5175, 0.6742) [1 per cell]
Re (0.1621, 0.6531, 0.4916) [1 per cell]
Re (0.1723, 0.6490, 0.8561) [1 per cell]
Re (0.1722, 0.6560, 0.9927) [1 per cell]
Re (0.2942, 0.1526, 0.1745) [1 per cell]
Re (0.2946, 0.1524, 0.6749) [1 per cell]
Re (0.5232, 0.6637, 0.4231) [1 per cell]
Re (0.6476, 0.0169, 0.9257) [1 per cell]
Re (0.6482, 0.2906, 0.9233) [1 per cell]
Re (0.6571, 0.1404, 0.2425) [1 per cell]
Re (0.6604, 0.2785, 0.4242) [1 per cell]
Re (0.6608, 0.1503, 0.1076) [1 per cell]
Re (0.6614, 0.1538, 0.7411) [1 per cell]
Re (0.6636, 0.1409, 0.6061) [1 per cell]
Re (0.7862, 0.6530, 0.9246) [1 per cell]
Re (0.7970, 0.6636, 0.4259) [1 per cell]
O (0.9997, 0.3681, 0.6894) [1 per cell]
O (0.0004, 0.9368, 0.1601) [1 per cell]
O (0.1147, 0.4892, 0.0661) [1 per cell]
O (0.1148, 0.8156, 0.7825) [1 per cell]
O (0.1303, 0.4914, 0.5660) [1 per cell]
O (0.1321, 0.8133, 0.2829) [1 per cell]
O (0.1516, 0.1524, 0.9245) [1 per cell]
O (0.1596, 0.1504, 0.7647) [1 per cell]
O (0.1604, 0.1515, 0.5845) [1 per cell]
O (0.1604, 0.1531, 0.0842) [1 per cell]
O (0.1604, 0.4719, 0.4244) [1 per cell]
O (0.1602, 0.8323, 0.4245) [1 per cell]
O (0.1609, 0.1515, 0.2645) [1 per cell]
O (0.1606, 0.1564, 0.4245) [1 per cell]
O (0.1669, 0.4736, 0.9224) [1 per cell]
O (0.1671, 0.8314, 0.9262) [1 per cell]
O (0.1891, 0.8120, 0.5664) [1 per cell]
O (0.1909, 0.4926, 0.2825) [1 per cell]
O (0.2003, 0.4851, 0.7835) [1 per cell]
O (0.2000, 0.8199, 0.0652) [1 per cell]
O (0.3208, 0.9340, 0.6893) [1 per cell]
O (0.3224, 0.3677, 0.6605) [1 per cell]
O (0.3215, 0.3707, 0.1590) [1 per cell]
O (0.3221, 0.9380, 0.1870) [1 per cell]
O (0.3410, 0.6518, 0.6740) [1 per cell]
O (0.3405, 0.6534, 0.1741) [1 per cell]
O (0.3664, 0.5956, 0.0150) [1 per cell]
O (0.3665, 0.7092, 0.8335) [1 per cell]
O (0.3771, 0.6073, 0.5066) [1 per cell]
O (0.3781, 0.6910, 0.3410) [1 per cell]
O (0.4418, 0.1888, 0.2560) [1 per cell]
O (0.4444, 0.1269, 0.0931) [1 per cell]
O (0.4448, 0.1763, 0.7554) [1 per cell]
O (0.4457, 0.1215, 0.5939) [1 per cell]
O (0.4679, 0.1530, 0.9244) [1 per cell]
O (0.4790, 0.8577, 0.4529) [1 per cell]
O (0.4886, 0.1665, 0.4224) [1 per cell]
O (0.4924, 0.8836, 0.9483) [1 per cell]
O (0.4927, 0.4228, 0.9005) [1 per cell]
O (0.5150, 0.4472, 0.4127) [1 per cell]
O (0.6137, 0.9829, 0.3079) [1 per cell]
O (0.6290, 0.3152, 0.0318) [1 per cell]
O (0.6299, 0.9920, 0.8179) [1 per cell]
O (0.6339, 0.3061, 0.5324) [1 per cell]
O (0.6517, 0.9678, 0.6793) [1 per cell]
O (0.6563, 0.6585, 0.3344) [1 per cell]
O (0.6594, 0.3293, 0.1739) [1 per cell]
O (0.6602, 0.3294, 0.6746) [1 per cell]
O (0.6600, 0.6453, 0.1724) [1 per cell]
O (0.6640, 0.6516, 0.6769) [1 per cell]
O (0.6637, 0.6585, 0.5145) [1 per cell]
O (0.6659, 0.9672, 0.1696) [1 per cell]
O (0.6741, 0.6494, 0.8391) [1 per cell]
O (0.6741, 0.6567, 0.0102) [1 per cell]
O (0.6863, 0.3063, 0.3163) [1 per cell]
O (0.6977, 0.3174, 0.8151) [1 per cell]
O (0.6987, 0.9894, 0.0326) [1 per cell]
O (0.7079, 0.9825, 0.5415) [1 per cell]
O (0.8055, 0.4473, 0.4362) [1 per cell]
O (0.8153, 0.8685, 0.9110) [1 per cell]
O (0.8157, 0.4375, 0.9380) [1 per cell]
O (0.8318, 0.1665, 0.4263) [1 per cell]
O (0.8344, 0.1533, 0.9242) [1 per cell]
O (0.8412, 0.8575, 0.3959) [1 per cell]
O (0.8752, 0.1221, 0.2552) [1 per cell]
O (0.8774, 0.1216, 0.7559) [1 per cell]
O (0.8772, 0.1812, 0.0933) [1 per cell]
O (0.8795, 0.1888, 0.5923) [1 per cell]
O (0.9423, 0.6910, 0.5080) [1 per cell]
O (0.9432, 0.6075, 0.3422) [1 per cell]
O (0.9554, 0.6293, 0.8517) [1 per cell]
O (0.9553, 0.6764, 0.9973) [1 per cell]
O (0.9794, 0.6549, 0.1749) [1 per cell]
O (0.9801, 0.6500, 0.6746) [1 per cell]
O (0.9975, 0.3700, 0.1897) [1 per cell]
O (0.9976, 0.9361, 0.6601) [1 per cell]